Entry 1:
# Na3AlSi3Sn3S3O24

A relaxed structure of Na3AlSi3Sn3S3O24 (PBE, the Materials Project).

Unit cell a=8.7902 b=8.8158 c=22.6996 alpha=89.78 beta=89.83 gamma=60.14
Space group P1 (No. 1)
One atom of each set of equivalent atoms:
Na  0.0000  0.0000  0.0000 [1 per cell]
Na  0.9998  0.0222  0.5006 [1 per cell]
Na  0.3076  0.0467  0.4133 [1 per cell]
Na  0.3326  0.3339  0.3344 [1 per cell]
Na  0.3375  0.3520  0.8261 [1 per cell]
Na  0.6380  0.6934  0.1631 [1 per cell]
Na  0.6474  0.6847  0.6659 [1 per cell]
Na  0.6945  0.9798  0.5868 [1 per cell]
Na  0.9766  0.7124  0.0769 [1 per cell]
Al  0.0199  0.9957  0.1415 [1 per cell]
Al  0.0321  0.9933  0.6502 [1 per cell]
Al  0.3259  0.3220  0.4762 [1 per cell]
Si  0.2879  0.0070  0.2450 [1 per cell]
Si  0.2980  0.7113  0.7458 [1 per cell]
Si  0.3206  0.0510  0.5792 [1 per cell]
Si  0.3354  0.6362  0.0835 [1 per cell]
Si  0.6396  0.0510  0.0820 [1 per cell]
Si  0.6670  0.9790  0.4164 [1 per cell]
Si  0.7236  0.0096  0.7402 [1 per cell]
Si  0.9612  0.3913  0.4145 [1 per cell]
Si  0.9664  0.6660  0.9151 [1 per cell]
Sn  0.0023  0.9830  0.8466 [1 per cell]
Sn  0.3407  0.3488  0.9805 [1 per cell]
Sn  0.3458  0.3318  0.6836 [1 per cell]
Sn  0.3470  0.3271  0.1832 [1 per cell]
Sn  0.6599  0.6861  0.0174 [1 per cell]
Sn  0.6642  0.6896  0.3122 [1 per cell]
Sn  0.6714  0.6790  0.5149 [1 per cell]
Sn  0.6772  0.6827  0.8048 [1 per cell]
Sn  0.9980  0.0220  0.3505 [1 per cell]
S  0.0037  0.2872  0.7463 [1 per cell]
S  0.0052  0.7190  0.2446 [1 per cell]
S  0.0438  0.3329  0.0817 [1 per cell]
S  0.0554  0.6257  0.5787 [1 per cell]
S  0.3697  0.9732  0.9126 [1 per cell]
S  0.3762  0.6633  0.4150 [1 per cell]
S  0.6235  0.3436  0.5771 [1 per cell]
S  0.6757  0.3818  0.9121 [1 per cell]
S  0.7133  0.3003  0.2451 [1 per cell]
O  0.0228  0.1783  0.0909 [1 per cell]
O  0.0252  0.7984  0.2991 [1 per cell]
O  0.0298  0.8048  0.5828 [1 per cell]
O  0.0315  0.1885  0.8026 [1 per cell]
O  0.1175  0.3771  0.1332 [1 per cell]
O  0.1294  0.5252  0.6339 [1 per cell]
O  0.1456  0.0357  0.5909 [1 per cell]
O  0.1518  0.2983  0.0277 [1 per cell]
O  0.1534  0.3737  0.4223 [1 per cell]
O  0.1571  0.3144  0.7419 [1 per cell]
O  0.1612  0.4870  0.9183 [1 per cell]
O  0.1614  0.5377  0.5265 [1 per cell]
O  0.1624  0.5414  0.2419 [1 per cell]
O  0.1640  0.8289  0.0903 [1 per cell]
O  0.1797  0.9917  0.1906 [1 per cell]
O  0.1881  0.0027  0.9078 [1 per cell]
O  0.1932  0.0279  0.3097 [1 per cell]
O  0.1980  0.7830  0.8091 [1 per cell]
O  0.2017  0.8246  0.4080 [1 per cell]
O  0.2110  0.8364  0.6902 [1 per cell]
O  0.2788  0.5626  0.0261 [1 per cell]
O  0.3037  0.1624  0.5196 [1 per cell]
O  0.3049  0.5225  0.7394 [1 per cell]
O  0.3071  0.1858  0.2439 [1 per cell]
O  0.3578  0.5107  0.4264 [1 per cell]
O  0.3625  0.1437  0.9197 [1 per cell]
O  0.3674  0.5144  0.1413 [1 per cell]
O  0.3805  0.1312  0.6345 [1 per cell]
O  0.4400  0.8642  0.9673 [1 per cell]
O  0.4504  0.7112  0.4662 [1 per cell]
O  0.4771  0.8903  0.8604 [1 per cell]
O  0.4837  0.6298  0.3606 [1 per cell]
O  0.4854  0.8257  0.2493 [1 per cell]
O  0.4954  0.1709  0.4253 [1 per cell]
O  0.4983  0.6828  0.7524 [1 per cell]
O  0.5070  0.8527  0.5754 [1 per cell]
O  0.5091  0.1200  0.1382 [1 per cell]
O  0.5167  0.6422  0.0747 [1 per cell]
O  0.5194  0.3569  0.9160 [1 per cell]
O  0.5217  0.1730  0.7418 [1 per cell]
O  0.5222  0.3777  0.6332 [1 per cell]
O  0.5287  0.3258  0.5265 [1 per cell]
O  0.5322  0.3259  0.2443 [1 per cell]
O  0.5522  0.1635  0.0212 [1 per cell]
O  0.6074  0.9000  0.3607 [1 per cell]
O  0.6457  0.4911  0.8598 [1 per cell]
O  0.6473  0.5001  0.5738 [1 per cell]
O  0.6722  0.8488  0.0768 [1 per cell]
O  0.6922  0.4633  0.9677 [1 per cell]
O  0.7034  0.4729  0.2493 [1 per cell]
O  0.7091  0.8613  0.4765 [1 per cell]
O  0.7161  0.8261  0.7444 [1 per cell]
O  0.7833  0.1987  0.3007 [1 per cell]
O  0.7870  0.0520  0.8034 [1 per cell]
O  0.7960  0.1828  0.5818 [1 per cell]
O  0.8186  0.2081  0.1927 [1 per cell]
O  0.8323  0.0296  0.0934 [1 per cell]
O  0.8323  0.4671  0.4716 [1 per cell]
O  0.8393  0.2087  0.9090 [1 per cell]
O  0.8393  0.9942  0.6818 [1 per cell]
O  0.8414  0.4614  0.7496 [1 per cell]
O  0.8445  0.7009  0.2477 [1 per cell]
O  0.8498  0.9797  0.4058 [1 per cell]
O  0.8557  0.6919  0.9763 [1 per cell]
O  0.8690  0.4914  0.0748 [1 per cell]
O  0.8721  0.5028  0.3538 [1 per cell]
O  0.8724  0.6377  0.8579 [1 per cell]
O  0.8737  0.6457  0.5773 [1 per cell]
O  0.9807  0.8460  0.9141 [1 per cell]
O  0.9828  0.8239  0.1908 [1 per cell]
O  0.9837  0.2023  0.6941 [1 per cell]
O  0.9989  0.1876  0.4111 [1 per cell]

- DFT formation energy: -2357 meV/atom
- Corrected total energy (MP2020 scheme): -0.2527 hartree per atom

***

Entry 2:
# Na8Al2Si5Sn2SO24

A relaxed structure of Na8Al2Si5Sn2SO24 (PBE, the Materials Project).

Unit cell a=8.9630 b=8.9821 c=21.9926 alpha=89.43 beta=90.00 gamma=60.12
Space group P1 (No. 1)
One atom of each set of equivalent atoms:
Na  0.0000  0.0000  0.0000 [1 per cell]
Na  0.0004  0.2704  0.5028 [1 per cell]
Na  0.0087  0.6271  0.7492 [1 per cell]
Na  0.0363  0.2990  0.8326 [1 per cell]
Na  0.0368  0.9215  0.3318 [1 per cell]
Na  0.3016  0.6694  0.8326 [1 per cell]
Na  0.3085  0.3009  0.3368 [1 per cell]
Na  0.3216  0.3471  0.6671 [1 per cell]
Na  0.3343  0.6074  0.1662 [1 per cell]
Na  0.3341  0.9674  0.9139 [1 per cell]
Na  0.3430  0.9596  0.4155 [1 per cell]
Na  0.3652  0.2682  0.9968 [1 per cell]
Na  0.3662  0.6336  0.4999 [1 per cell]
Na  0.6346  0.6343  0.9999 [1 per cell]
Na  0.6374  0.9966  0.4968 [1 per cell]
Na  0.6633  0.9361  0.8350 [1 per cell]
Na  0.6645  0.6755  0.3370 [1 per cell]
Na  0.6686  0.3077  0.5818 [1 per cell]
Na  0.6751  0.3005  0.0839 [1 per cell]
Na  0.7059  0.5948  0.6620 [1 per cell]
Na  0.7144  0.9567  0.1684 [1 per cell]
Na  0.9595  0.3350  0.1611 [1 per cell]
Na  0.9780  0.9632  0.6651 [1 per cell]
Na  0.9957  0.6479  0.2502 [1 per cell]
Al  0.0020  0.6472  0.4012 [1 per cell]
Al  0.0153  0.6211  0.5983 [1 per cell]
Al  0.3152  0.9717  0.7725 [1 per cell]
Al  0.3577  0.9302  0.2674 [1 per cell]
Al  0.6686  0.2972  0.2325 [1 per cell]
Al  0.9889  0.6478  0.1001 [1 per cell]
Si  0.0025  0.3471  0.0043 [1 per cell]
Si  0.0386  0.9694  0.1713 [1 per cell]
Si  0.0451  0.2619  0.6679 [1 per cell]
Si  0.2812  0.3513  0.4990 [1 per cell]
Si  0.2866  0.6311  0.0035 [1 per cell]
Si  0.3284  0.6778  0.6687 [1 per cell]
Si  0.3728  0.2930  0.8314 [1 per cell]
Si  0.3730  0.5903  0.3299 [1 per cell]
Si  0.6378  0.6637  0.1692 [1 per cell]
Si  0.6613  0.6062  0.8321 [1 per cell]
Si  0.6641  0.0056  0.3295 [1 per cell]
Si  0.7094  0.9253  0.0023 [1 per cell]
Si  0.7239  0.6332  0.4997 [1 per cell]
Si  0.9626  0.0066  0.8326 [1 per cell]
Si  0.9987  0.9162  0.5004 [1 per cell]
Sn  0.0004  0.6333  0.8983 [1 per cell]
Sn  0.3286  0.9632  0.5621 [1 per cell]
Sn  0.3307  0.9578  0.0657 [1 per cell]
Sn  0.6576  0.3025  0.4362 [1 per cell]
Sn  0.6659  0.3033  0.9362 [1 per cell]
Sn  0.6689  0.3094  0.7338 [1 per cell]
S  0.3354  0.2578  0.1694 [1 per cell]
S  0.6268  0.9651  0.6675 [1 per cell]
S  0.9611  0.2992  0.3308 [1 per cell]
O  0.0204  0.4554  0.6610 [1 per cell]
O  0.0294  0.7915  0.1631 [1 per cell]
O  0.0345  0.8031  0.4397 [1 per cell]
O  0.0442  0.4151  0.9405 [1 per cell]
O  0.1096  0.0206  0.1091 [1 per cell]
O  0.1205  0.1431  0.6063 [1 per cell]
O  0.1352  0.1469  0.3247 [1 per cell]
O  0.1503  0.9904  0.8268 [1 per cell]
O  0.1538  0.6632  0.6608 [1 per cell]
O  0.1625  0.4367  0.4386 [1 per cell]
O  0.1709  0.9393  0.5015 [1 per cell]
O  0.1718  0.1658  0.7254 [1 per cell]
O  0.1723  0.9409  0.2270 [1 per cell]
O  0.1750  0.1548  0.0075 [1 per cell]
O  0.1751  0.6743  0.9404 [1 per cell]
O  0.1801  0.4298  0.1638 [1 per cell]
O  0.1828  0.6055  0.3383 [1 per cell]
O  0.1854  0.4683  0.8357 [1 per cell]
O  0.1942  0.6009  0.0620 [1 per cell]
O  0.2038  0.4643  0.5597 [1 per cell]
O  0.3023  0.8022  0.7257 [1 per cell]
O  0.3078  0.1718  0.2220 [1 per cell]
O  0.3091  0.8025  0.0041 [1 per cell]
O  0.3107  0.1537  0.5036 [1 per cell]
O  0.3511  0.7843  0.3250 [1 per cell]
O  0.3581  0.1213  0.8236 [1 per cell]
O  0.3691  0.1528  0.1129 [1 per cell]
O  0.3836  0.7471  0.6072 [1 per cell]
O  0.4533  0.3387  0.7717 [1 per cell]
O  0.4719  0.4611  0.2736 [1 per cell]
O  0.4765  0.3284  0.4977 [1 per cell]
O  0.4786  0.4590  0.9997 [1 per cell]
O  0.4858  0.9930  0.3214 [1 per cell]
O  0.4916  0.2764  0.1739 [1 per cell]
O  0.4920  0.7929  0.8221 [1 per cell]
O  0.4948  0.2524  0.8923 [1 per cell]
O  0.4986  0.5205  0.3915 [1 per cell]
O  0.5006  0.4808  0.6704 [1 per cell]
O  0.5123  0.7423  0.1081 [1 per cell]
O  0.5150  0.9507  0.0079 [1 per cell]
O  0.5204  0.9984  0.6109 [1 per cell]
O  0.5282  0.8065  0.5033 [1 per cell]
O  0.5413  0.9415  0.7213 [1 per cell]
O  0.5464  0.7965  0.2248 [1 per cell]
O  0.6169  0.5253  0.8924 [1 per cell]
O  0.6221  0.1243  0.3919 [1 per cell]
O  0.6442  0.1219  0.6702 [1 per cell]
O  0.6508  0.4751  0.1786 [1 per cell]
O  0.6939  0.1151  0.9983 [1 per cell]
O  0.7006  0.1040  0.2738 [1 per cell]
O  0.7010  0.4602  0.4956 [1 per cell]
O  0.7158  0.4794  0.7732 [1 per cell]
O  0.7790  0.8102  0.9405 [1 per cell]
O  0.7975  0.8109  0.6630 [1 per cell]
O  0.8087  0.6627  0.4385 [1 per cell]
O  0.8288  0.3287  0.9995 [1 per cell]
O  0.8287  0.6462  0.1612 [1 per cell]
O  0.8299  0.1135  0.4953 [1 per cell]
O  0.8323  0.8379  0.0608 [1 per cell]
O  0.8363  0.6185  0.8368 [1 per cell]
O  0.8366  0.0838  0.7724 [1 per cell]
O  0.8373  0.6043  0.5610 [1 per cell]
O  0.8369  0.8140  0.3377 [1 per cell]
O  0.8452  0.1404  0.1778 [1 per cell]
O  0.8467  0.3274  0.2783 [1 per cell]
O  0.8531  0.2740  0.6703 [1 per cell]
O  0.8832  0.1296  0.8923 [1 per cell]
O  0.8905  0.2627  0.3876 [1 per cell]
O  0.9651  0.8313  0.5607 [1 per cell]
O  0.9721  0.4706  0.0617 [1 per cell]
O  0.9743  0.4564  0.3354 [1 per cell]
O  0.9800  0.8171  0.8361 [1 per cell]

- DFT formation energy: -2653 meV/atom
- Corrected total energy (MP2020 scheme): -0.2516 hartree per atom

***

| no. | total magnetic moment (Bohr magnetons per cell) |
| --- | --- |
| 1 | 0.0 |
| 2 | 0.0 |